# 1
VASP calculation (PBE) on a relaxed structure of BN.

VASP energy in eV per atom: -8.785
Space-group type: No. 194
Energy relative to the lowest polymorph listed for this composition in eV/f.u.: 0.007
Formation enthalpy at 0 K in eV/atom: -1.46

Cell lengths 2.516, 2.516, 7.258 Å; angles 90.00, 90.00, 120.00 degrees
Fractional positions:
N1 0.667 0.333 0.250
N2 0.333 0.667 0.750
B1 0.000 0.000 0.750
B2 0.000 0.000 0.250

# 2
VASP calculation (PBE) on a relaxed structure of BN.

VASP energy in eV per atom: -8.517
Space-group type: No. 62
Energy relative to the lowest polymorph listed for this composition in eV/f.u.: 0.544
Formation enthalpy at 0 K in eV/atom: -1.19

Cell lengths 2.591, 4.292, 4.880 Å; angles 90.00, 90.00, 90.00 degrees
Fractional positions:
B1 0.250 0.593 0.840
B2 0.750 0.093 0.660
B3 0.250 0.907 0.340
B4 0.750 0.407 0.160
N1 0.750 0.106 0.321
N2 0.250 0.894 0.679
N3 0.250 0.606 0.179
N4 0.750 0.394 0.821